An optimized crystal structure of Ac2CuRu. Source: the Materials Project, functional GGA-PBE.

Structure (POSCAR):
```
Ac2CuRu
1.0
7.448 0.000 0.000
0.000 7.448 0.000
0.000 0.000 7.448
Ac Cu Ru
8 4 4
direct
0.250 0.250 0.250
0.250 0.250 0.750
0.250 0.750 0.250
0.250 0.750 0.750
0.750 0.250 0.250
0.750 0.250 0.750
0.750 0.750 0.250
0.750 0.750 0.750
0.000 0.000 0.000
0.000 0.500 0.500
0.500 0.000 0.500
0.500 0.500 0.000
0.000 0.000 0.500
0.000 0.500 0.000
0.500 0.000 0.000
0.500 0.500 0.500
```

- Energy of formation from the pure elements: -4.18 kJ per mole of atoms
- Energy: -0.2002 hartree per atom